11
Lattice="-1.2208 6.0124 -2.2206 -3.1627 -5.1162 -2.5284 -2.5018 0.3708 2.3792" Properties=species:S:1:pos:R:3 comment="Li5Ni3N3 (PBE-GGA, optimized geometry)" spacegroup="P-62m, No. 189" delta_e_f_ev_per_atom=-0.4695 rho_g_cm3=3.28 energy_ev_per_atom=-5.089 pbc="T T T"
Li -3.1190 2.4883 -1.1336
Li -3.7663 -1.2213 -1.2362
Li -2.0831 -1.1608 0.5243
Li -1.5721 1.7674 0.6053
Li -4.4810 0.8458 -2.3098
Ni -2.0016 -3.2379 -1.6001
Ni -1.6093 0.3290 -1.7435
Ni -0.7726 3.8051 -1.4054
N -3.2578 -3.0612 -0.4148
N -2.0256 4.0007 -0.2195
N -2.8528 0.5129 -0.5458